# 1
## Ga3NO3 (PBE)

Data for crystalline Ga3NO3 at its relaxed geometry.

Lattice parameters (Å, degrees): 5.9781 5.9781 5.9781 59.29 59.29 59.29
Last column: nearest neighbours and their distance in Å.
Element x y z (fractional)
Ga 0.5000 0.0000 0.5000  2 N 1.96, 4 O 2.10
Ga 0.5000 0.5000 0.5000  6 O 2.02
Ga 0.1372 0.1372 0.1372  1 N 1.92, 3 O 1.93
Ga 0.5000 0.5000 0.0000  2 N 1.96, 4 O 2.10
Ga 0.8628 0.8628 0.8628  1 N 1.92, 3 O 1.93
Ga 0.0000 0.5000 0.5000  2 N 1.96, 4 O 2.10
N 0.7327 0.7327 0.7327  4 Ga 1.92-1.96
N 0.2673 0.2673 0.2673  4 Ga 1.92-1.96
O 0.7404 0.7404 0.2607  4 Ga 1.93-2.10
O 0.7404 0.2607 0.7404  4 Ga 1.93-2.10
O 0.2607 0.7404 0.7404  4 Ga 1.93-2.10
O 0.7393 0.2596 0.2596  4 Ga 1.93-2.10
O 0.2596 0.2596 0.7393  4 Ga 1.93-2.10
O 0.2596 0.7393 0.2596  4 Ga 1.93-2.10

Calculated values
**Space group**: R-3m
**Spin magnetization**: 0.00 μB/cell
**Energy of formation from the pure elements**: -1.709 eV/atom
**Total energy after the MP2020 corrections**: -6.32 eV per atom

# 2
## GaSe2NO8 (PBE)

Data for crystalline GaSe2NO8 at its relaxed geometry.

Lattice parameters (Å, degrees): 5.1191 5.1191 9.1320 90.00 90.00 120.00
Last column: nearest neighbours and their distance in Å.
Element x y z (fractional)
Ga 0.0000 0.0000 0.0000  6 O 2.00
Se 0.6667 0.3333 0.7981  4 O 1.65-1.68
Se 0.3333 0.6667 0.2019  4 O 1.65-1.68
N 0.0000 0.0000 0.5000  6 O 3.15
O 0.9350 0.2627 0.8605  1 Se 1.68
O 0.3278 0.0650 0.8605  1 Se 1.68
O 0.6722 0.7373 0.1395  1 Se 1.68
O 0.7373 0.6722 0.8605  1 Se 1.68
O 0.2627 0.9350 0.1395  1 Se 1.68
O 0.0650 0.3278 0.1395  1 Se 1.68
O 0.6667 0.3333 0.6179  1 Se 1.65
O 0.3333 0.6667 0.3821  1 Se 1.65

Calculated values
**Space group**: P321
**Spin magnetization**: 2.00 μB/cell
**Energy of formation from the pure elements**: -0.599 eV/atom
**Total energy after the MP2020 corrections**: -5.43 eV per atom

# 3
## ZnGaNO (PBE)

Data for crystalline ZnGaNO at its relaxed geometry.

Lattice parameters (Å, degrees): 6.5303 6.5299 10.5708 89.99 90.13 119.85
Last column: nearest neighbours and their distance in Å.
Element x y z (fractional)
Zn 0.6711 0.8437 0.2617  1 N 1.95, 2 O 1.96-2.00
Zn 0.1672 0.8331 0.2621  4 O 1.95-2.17
Zn 0.8385 0.6611 0.5104  2 N 1.95-1.98, 1 O 2.04
Zn 0.1567 0.3285 0.2646  1 N 1.94, 2 O 1.95-1.98
Zn 0.8272 0.6546 0.9988  1 N 2.01, 3 O 2.01-2.09
Zn 0.3336 0.1682 0.5110  3 N 1.96-1.98
Zn 0.6614 0.8398 0.7468  2 O 2.02-2.12, 2 N 2.03-2.04
Zn 0.3221 0.6606 0.5063  2 N 1.96-1.99, 2 O 2.06-2.15
Ga 0.3342 0.6696 0.9920  1 N 1.88, 3 O 1.96-2.01
Ga 0.6702 0.3261 0.2526  2 N 1.89-1.97, 2 O 1.91-1.92
Ga 0.3461 0.1714 0.9949  2 N 1.91-1.94, 2 O 1.98-2.02
Ga 0.6652 0.3237 0.7439  3 N 1.89-2.02, 1 O 2.03
Ga 0.1630 0.3325 0.7453  4 N 1.91-2.03
Ga 0.1750 0.8358 0.7415  3 N 1.88-2.03, 1 O 2.03
Ga 0.8252 0.1717 0.9940  2 N 1.89-1.94, 2 O 1.99-2.04
Ga 0.8384 0.1775 0.5032  3 N 1.92-1.97, 1 O 1.96
N 0.8281 0.1715 0.3170  2 Ga 1.89-1.97, 2 Zn 1.94-1.95
N 0.1677 0.8359 0.5636  1 Ga 1.88, 3 Zn 1.95-1.96
N 0.6688 0.3277 0.5651  2 Ga 1.89-1.92, 2 Zn 1.98
N 0.3233 0.6603 0.8139  3 Ga 1.88-1.99, 1 Zn 2.04
N 0.8391 0.1754 0.8155  3 Ga 1.89-1.98, 1 Zn 2.03
N 0.1574 0.3274 0.5645  2 Ga 1.91-1.92, 2 Zn 1.98-1.99
N 0.6616 0.3237 0.0663  3 Ga 1.94-1.97, 1 Zn 2.01
N 0.3330 0.1671 0.8140  4 Ga 1.91-2.03
O 0.3352 0.6654 0.3035  4 Zn 1.95-2.15
O 0.1797 0.8408 0.0567  2 Ga 1.96-1.98, 2 Zn 2.09-2.17
O 0.6733 0.8460 0.5556  1 Ga 1.96, 3 Zn 2.02-2.06
O 0.3464 0.1748 0.3013  1 Ga 1.91, 2 Zn 1.98
O 0.1682 0.3337 0.0544  3 Ga 2.01-2.04, 1 Zn 2.22
O 0.8391 0.6607 0.8084  2 Zn 2.01-2.12, 2 Ga 2.03
O 0.6595 0.8392 0.0542  2 Ga 1.96-1.99, 1 Zn 2.08
O 0.8244 0.6523 0.3012  1 Ga 1.92, 2 Zn 1.99-2.00

Calculated values
**Space group**: P1
**Spin magnetization**: 0.00 μB/cell
**Energy of formation from the pure elements**: -1.062 eV/atom
**Total energy after the MP2020 corrections**: -5.45 eV per atom

# 4
## ZnGaNO (PBE)

Data for crystalline ZnGaNO at its relaxed geometry.

Lattice parameters (Å, degrees): 6.5376 6.5376 10.5541 90.00 90.00 120.00
Last column: nearest neighbours and their distance in Å.
Element x y z (fractional)
Zn 0.0000 0.0000 0.9965  4 O 2.02-2.05
Zn 0.1607 0.3214 0.7376  1 N 1.91, 2 O 2.00
Zn 0.1607 0.8393 0.7376  1 N 1.91, 2 O 2.00
Zn 0.0082 0.5041 0.4902  2 N 1.98, 2 O 1.99-2.20
Zn 0.6786 0.8393 0.7376  1 N 1.91, 2 O 2.00
Zn 0.4959 0.9918 0.4902  2 N 1.98, 2 O 1.99-2.20
Zn 0.6667 0.3333 0.2551  1 O 2.02, 3 N 2.06
Zn 0.4959 0.5041 0.4902  2 N 1.98, 2 O 1.99-2.20
Ga 0.6667 0.3333 0.7492  3 O 1.89, 1 N 1.99
Ga 0.5024 0.0049 0.0073  2 N 1.89-2.00, 2 O 1.98
Ga 0.9951 0.4976 0.0073  2 N 1.89-2.00, 2 O 1.98
Ga 0.1727 0.3455 0.2562  3 N 1.89-1.97, 1 O 2.08
Ga 0.0000 0.0000 0.4958  4 N 1.94-1.97
Ga 0.6545 0.8272 0.2562  3 N 1.89-1.97, 1 O 2.08
Ga 0.1727 0.8272 0.2562  3 N 1.89-1.97, 1 O 2.08
Ga 0.5024 0.4976 0.0073  2 N 1.89-2.00, 2 O 1.98
N 0.0000 0.0000 0.6820  3 Zn 1.91, 1 Ga 1.97
N 0.1613 0.8387 0.4352  2 Ga 1.89-1.94, 2 Zn 1.98
N 0.1613 0.3227 0.4352  2 Ga 1.89-1.94, 2 Zn 1.98
N 0.4963 0.5037 0.1865  3 Ga 1.89-1.97, 1 Zn 2.06
N 0.6773 0.8387 0.4352  2 Ga 1.89-1.94, 2 Zn 1.98
N 0.6667 0.3333 0.9375  4 Ga 1.99-2.00
N 0.0074 0.5037 0.1865  3 Ga 1.89-1.97, 1 Zn 2.06
N 0.4963 0.9926 0.1865  3 Ga 1.89-1.97, 1 Zn 2.06
O 0.5067 0.4933 0.6982  1 Ga 1.89, 2 Zn 2.00
O 0.1742 0.8258 0.9439  2 Ga 1.98, 2 Zn 2.05-2.18
O 0.6667 0.3333 0.4464  4 Zn 1.99-2.02
O 0.0000 0.0000 0.1883  1 Zn 2.02, 3 Ga 2.08
O 0.5067 0.0135 0.6982  1 Ga 1.89, 2 Zn 2.00
O 0.6516 0.8258 0.9439  2 Ga 1.98, 2 Zn 2.05-2.18
O 0.1742 0.3484 0.9439  2 Ga 1.98, 2 Zn 2.05-2.18
O 0.9865 0.4933 0.6982  1 Ga 1.89, 2 Zn 2.00

Calculated values
**Space group**: P3m1
**Spin magnetization**: 0.00 μB/cell
**Energy of formation from the pure elements**: -1.059 eV/atom
**Total energy after the MP2020 corrections**: -5.45 eV per atom

# 5
## ZnGa3N3O (PBE)

Data for crystalline ZnGa3N3O at its relaxed geometry.

Lattice parameters (Å, degrees): 6.4928 6.4933 10.5416 90.01 90.01 119.95
Last column: nearest neighbours and their distance in Å.
Element x y z (fractional)
Zn 0.1727 0.8443 0.7347  1 N 1.93, 2 O 1.98-2.01
Zn 0.8334 0.6667 0.4866  3 N 1.97-1.99
Zn 0.1617 0.3227 0.7344  2 N 1.93-1.96, 1 O 1.99
Zn 0.3335 0.6665 0.4893  3 N 1.98-2.00
Ga 0.3437 0.6714 0.0069  2 N 1.91-1.97, 2 O 2.00
Ga 0.6588 0.3220 0.7455  3 N 1.88-2.01, 1 O 1.96
Ga 0.6695 0.8424 0.7472  2 O 1.89-1.94, 2 N 1.92-2.00
Ga 0.8238 0.1624 0.0050  3 N 1.92-1.98, 1 O 2.02
Ga 0.8229 0.6607 0.0052  3 N 1.92-1.98, 1 O 2.03
Ga 0.8311 0.1642 0.4950  4 N 1.91-2.02
Ga 0.1663 0.8342 0.2565  4 N 1.91-2.02
Ga 0.6671 0.3327 0.2548  4 N 1.92-2.01
Ga 0.1649 0.3316 0.2548  4 N 1.93-2.01
Ga 0.6682 0.8351 0.2568  4 N 1.90-2.02
Ga 0.3438 0.1723 0.0058  2 N 1.91-1.96, 2 O 2.00-2.01
Ga 0.3342 0.1661 0.4966  4 N 1.92-1.98
N 0.6683 0.8343 0.9368  4 Ga 1.97-2.00
N 0.3446 0.1749 0.6847  2 Ga 1.88-1.98, 2 Zn 1.93
N 0.6708 0.8420 0.4372  2 Ga 1.90-1.91, 2 Zn 1.97-1.98
N 0.6629 0.3251 0.4366  3 Ga 1.92-1.96, 1 Zn 1.99
N 0.1717 0.8430 0.4374  2 Ga 1.91-1.92, 2 Zn 1.97-1.98
N 0.3327 0.6661 0.1879  4 Ga 1.91-2.02
N 0.3330 0.1668 0.1865  4 Ga 1.91-2.01
N 0.1617 0.3243 0.4374  3 Ga 1.93-1.96, 1 Zn 2.00
N 0.8243 0.1634 0.6864  3 Ga 1.92-2.02, 1 Zn 1.96
N 0.6679 0.3337 0.9364  4 Ga 1.96-2.01
N 0.8331 0.6663 0.1874  4 Ga 1.92-2.01
N 0.8336 0.1671 0.1866  4 Ga 1.92-2.01
O 0.3452 0.6709 0.7013  1 Ga 1.89, 2 Zn 1.98-1.99
O 0.1671 0.3341 0.9485  3 Ga 2.00-2.02
O 0.1666 0.8325 0.9473  3 Ga 2.00-2.03, 1 Zn 2.24
O 0.8209 0.6604 0.7025  2 Ga 1.94-1.96, 1 Zn 2.01

Calculated values
**Space group**: P1
**Spin magnetization**: 0.00 μB/cell
**Energy of formation from the pure elements**: -0.736 eV/atom
**Total energy after the MP2020 corrections**: -5.77 eV per atom

# 6
## ZnGaNO (PBE)

Data for crystalline ZnGaNO at its relaxed geometry.

Lattice parameters (Å, degrees): 3.2700 5.3047 5.6237 90.00 90.00 90.00
Last column: nearest neighbours and their distance in Å.
Element x y z (fractional)
Zn 0.5000 0.4900 0.8216  2 N 1.98, 2 O 2.08-2.12
Zn 0.5000 0.9900 0.1784  2 N 1.98, 2 O 2.08-2.12
Ga 0.0000 0.0075 0.6521  2 N 1.91, 2 O 1.99
Ga 0.0000 0.5075 0.3479  2 N 1.91, 2 O 1.99
N 0.0000 0.3665 0.6606  2 Ga 1.91, 2 Zn 1.98
N 0.0000 0.8665 0.3394  2 Ga 1.91, 2 Zn 1.98
O 0.5000 0.8900 0.8216  2 Ga 1.99, 2 Zn 2.08-2.12
O 0.5000 0.3900 0.1784  2 Ga 1.99, 2 Zn 2.08-2.12

Calculated values
**Space group**: Pmc2_1
**Spin magnetization**: 0.00 μB/cell
**Energy of formation from the pure elements**: -1.076 eV/atom
**Total energy after the MP2020 corrections**: -5.47 eV per atom